Record 1
DFT (meta-GGA r2SCAN) results for a relaxed Ba2P3Pd crystal.

The structure in POSCAR format:
```
Ba2P3Pd
1.0
-0.072 -7.204 -0.249
2.630 0.180 -5.984
12.036 -0.288 4.856
Ba P Pd
8 12 4
Cartesian
5.667 -1.827 -2.141
11.685 -1.890 0.290
8.927 -5.485 0.765
2.909 -5.422 -1.666
7.428 -5.369 -3.037
1.149 -1.778 -0.767
7.166 -1.942 1.661
13.445 -5.533 -0.610
8.987 -0.699 -1.247
11.648 -4.457 2.378
5.607 -6.613 -0.130
2.946 -2.854 -3.754
8.956 -2.859 -1.302
11.636 -6.617 2.284
5.638 -4.452 -0.074
4.655 -4.020 -4.617
10.647 -6.715 -2.277
9.939 -3.292 3.240
3.947 -0.596 0.901
2.958 -0.695 -3.660
4.590 -6.384 -4.582
10.004 -0.928 3.205
3.964 -2.953 0.703
10.630 -4.358 -2.079
```

Properties
**Calculated formation energy**: -1.015 eV/atom
**Total DFT energy (no corrections)**: -18.176 eV per atom
**SG**: P2_1/c, No. 14

---

Record 2
DFT (meta-GGA r2SCAN) results for a relaxed CdIBr crystal.

The structure in POSCAR format:
```
CdIBr
1.0
-2.088 -3.616 0.000
2.088 -3.616 0.000
0.000 -2.411 13.540
Cd I Br
2 2 2
Cartesian
0.000 -7.232 11.700
0.000 -2.411 4.935
0.000 -2.411 13.446
0.000 -7.232 6.682
0.000 -4.821 3.423
0.000 -4.821 10.185
```

Properties
**Calculated formation energy**: -0.871 eV/atom
**Total DFT energy (no corrections)**: -20.179 eV per atom
**SG**: R3m, No. 160

---

Record 3
DFT (meta-GGA r2SCAN) results for a relaxed CaCdPb crystal.

The structure in POSCAR format:
```
CaCdPb
1.0
3.902 -6.758 0.000
3.902 6.758 0.000
0.000 0.000 4.752
Ca Cd Pb
3 3 3
Cartesian
2.246 3.890 2.376
2.246 -3.890 2.376
3.312 0.000 2.376
0.979 -1.695 0.000
5.846 0.000 0.000
0.979 1.695 0.000
0.000 0.000 2.376
3.902 -2.253 0.000
3.902 2.253 0.000
```

Properties
**Calculated formation energy**: -0.501 eV/atom
**Total DFT energy (no corrections)**: -28.310 eV per atom
**SG**: P-62m, No. 189

---

What did the first record say?
DFT (meta-GGA r2SCAN) results for a relaxed Ba2P3Pd crystal.

The structure in POSCAR format:
```
Ba2P3Pd
1.0
-0.072 -7.204 -0.249
2.630 0.180 -5.984
12.036 -0.288 4.856
Ba P Pd
8 12 4
Cartesian
5.667 -1.827 -2.141
11.685 -1.890 0.290
8.927 -5.485 0.765
2.909 -5.422 -1.666
7.428 -5.369 -3.037
1.149 -1.778 -0.767
7.166 -1.942 1.661
13.445 -5.533 -0.610
8.987 -0.699 -1.247
11.648 -4.457 2.378
5.607 -6.613 -0.130
2.946 -2.854 -3.754
8.956 -2.859 -1.302
11.636 -6.617 2.284
5.638 -4.452 -0.074
4.655 -4.020 -4.617
10.647 -6.715 -2.277
9.939 -3.292 3.240
3.947 -0.596 0.901
2.958 -0.695 -3.660
4.590 -6.384 -4.582
10.004 -0.928 3.205
3.964 -2.953 0.703
10.630 -4.358 -2.079
```

Properties
**Calculated formation energy**: -1.015 eV/atom
**Total DFT energy (no corrections)**: -18.176 eV per atom
**SG**: P2_1/c, No. 14

---

Q: Which value of calculated formation energy does entry 3 give?
A: -0.501 eV/atom